No. 1
A plane-wave DFT calculation with GGA+U was carried out for an optimized crystal structure of Zr2P2WO12.

Cell: 12.5799 9.3524 9.5210 Å, 90.00 90.00 90.00°
Fractional coordinates of all 68 atoms:
O 0.6516 0.9576 0.4307
Zr 0.3698 0.2249 0.4530
O 0.3484 0.9576 0.0693
O 0.7797 0.7021 0.4918
W 0.0000 0.9615 0.7500
O 0.8273 0.6419 0.2399
Zr 0.1302 0.2751 0.9530
Zr 0.3698 0.7751 0.9530
O 0.3273 0.8581 0.7601
O 0.1727 0.3581 0.7601
P 0.1429 0.3814 0.6037
O 0.8484 0.5424 0.9307
O 0.3273 0.1419 0.2601
O 0.2797 0.7979 0.5082
O 0.6727 0.1419 0.2399
O 0.5289 0.8285 0.9219
O 0.0720 0.8487 0.6283
O 0.7203 0.2021 0.4918
Zr 0.8698 0.7249 0.0470
O 0.1516 0.4576 0.0693
Zr 0.6302 0.2249 0.0470
P 0.3571 0.8814 0.6037
O 0.9711 0.6715 0.4219
O 0.2203 0.7021 0.0082
O 0.5720 0.6513 0.3717
O 0.7203 0.7979 0.9918
O 0.5935 0.5744 0.6576
O 0.5289 0.1715 0.4219
Zr 0.6302 0.7751 0.5470
O 0.9280 0.8487 0.8717
Zr 0.1302 0.7249 0.4530
W 0.5000 0.5385 0.2500
O 0.2203 0.2979 0.5082
O 0.9065 0.0744 0.6576
W 0.0000 0.0385 0.2500
P 0.8571 0.3814 0.8963
P 0.6429 0.8814 0.8963
O 0.1516 0.5424 0.5693
O 0.0720 0.1513 0.1283
O 0.4711 0.8285 0.5781
O 0.6727 0.8581 0.7399
O 0.4065 0.4256 0.3424
O 0.7797 0.2979 0.9918
P 0.8571 0.6186 0.3963
O 0.9711 0.3285 0.9219
Zr 0.8698 0.2751 0.5470
O 0.5720 0.3487 0.8717
O 0.9280 0.1513 0.3717
W 0.5000 0.4615 0.7500
O 0.4065 0.5744 0.8424
O 0.0289 0.3285 0.5781
O 0.8484 0.4576 0.4307
O 0.8273 0.3581 0.7399
O 0.4280 0.6513 0.1283
O 0.6516 0.0424 0.9307
P 0.6429 0.1186 0.3963
O 0.9065 0.9256 0.1576
O 0.4280 0.3487 0.6283
O 0.0289 0.6715 0.0781
P 0.1429 0.6186 0.1037
O 0.5935 0.4256 0.1576
O 0.4711 0.1715 0.0781
O 0.0935 0.9256 0.3424
O 0.0935 0.0744 0.8424
O 0.3484 0.0424 0.5693
O 0.1727 0.6419 0.2601
O 0.2797 0.2021 0.0082
P 0.3571 0.1186 0.1037

Summary:
ΔH_f (0 K) (eV/atom): -3.028
Electronic total energy (eV/atom): -8.1796

No. 2
A plane-wave DFT calculation with GGA+U was carried out for an optimized crystal structure of V2SiPb5O12.

Cell: 7.4616 10.1702 10.1992 Å, 60.58 90.00 90.00°
Fractional coordinates of all 40 atoms:
O 0.8234 0.2672 0.6466
O 0.8154 0.6579 0.0828
Si 0.0000 0.3814 0.6001
O 0.0000 0.4050 0.1059
Pb 0.7677 0.6657 0.6570
O 0.0000 0.6866 0.8199
O 0.3170 0.9164 0.7439
O 0.0000 0.8305 0.4780
O 0.3166 0.3405 0.9182
O 0.5000 0.8976 0.5082
O 0.8236 0.0832 0.2636
V 0.0000 0.6049 0.0164
O 0.1846 0.6579 0.0828
O 0.6834 0.3405 0.9182
Pb 0.5000 0.0099 0.2526
O 0.0000 0.4901 0.6784
O 0.5000 0.5936 0.9013
V 0.5000 0.6222 0.3943
O 0.3155 0.7404 0.3451
Pb 0.5000 0.7502 0.9974
Pb 0.2323 0.6657 0.6570
Pb 0.7523 0.3230 0.3444
O 0.5000 0.5083 0.5929
V 0.5000 0.3944 0.9842
O 0.6845 0.7404 0.3451
O 0.1764 0.0832 0.2636
Pb 0.0000 0.0314 0.7329
Pb 0.5000 0.2552 0.7431
O 0.5000 0.2981 0.1829
Si 0.0000 0.0177 0.3769
O 0.0000 0.1001 0.4839
O 0.5000 0.5158 0.3024
O 0.5000 0.1795 0.5189
O 0.0000 0.4878 0.4130
O 0.1766 0.2672 0.6466
Pb 0.2477 0.3230 0.3444
V 0.5000 0.9801 0.6252
Pb 0.0000 0.7408 0.2614
Pb 0.0000 0.2303 0.0269
O 0.6830 0.9164 0.7439

Summary:
ΔH_f (0 K) (eV/atom): -2.155
Electronic total energy (eV/atom): -6.6489

No. 3
A plane-wave DFT calculation with GGA+U was carried out for an optimized crystal structure of ThV2PbO8.

Cell: 6.2612 6.2612 6.2612 Å, 106.08 106.08 116.50°
Fractional coordinates of all 12 atoms:
Th 0.2500 0.7500 0.5000
V 0.5000 0.5000 0.0000
O 0.8455 0.6587 0.1868
O 0.4718 0.6587 0.8132
O 0.9286 0.5998 0.6712
Pb 0.0000 0.0000 0.0000
O 0.9286 0.2574 0.3288
O 0.3413 0.5282 0.1868
O 0.4002 0.0714 0.3288
O 0.3413 0.1545 0.8132
O 0.7426 0.0714 0.6712
V 0.7500 0.2500 0.5000

Summary:
ΔH_f (0 K) (eV/atom): -2.787
Electronic total energy (eV/atom): -7.7856
Relative energy among the computed polymorphs (eV/f.u.): 0.00

No. 4
A plane-wave DFT calculation with GGA+U was carried out for an optimized crystal structure of ThV2PbO8.

Cell: 6.8876 7.0978 7.3864 Å, 88.76 87.50 75.79°
Fractional coordinates of all 24 atoms:
O 0.5069 0.6200 0.3520
O 0.9465 0.2329 0.5291
O 0.1953 0.4095 0.2795
Th 0.9147 0.2739 0.8559
O 0.2609 0.1257 0.7969
Pb 0.3977 0.7874 0.6452
V 0.6081 0.6985 0.1609
O 0.0535 0.7671 0.4709
O 0.7391 0.8743 0.2031
O 0.8223 0.5180 0.0910
O 0.3312 0.0342 0.3893
O 0.9850 0.8905 0.8479
O 0.5978 0.2427 0.9818
O 0.4931 0.3800 0.6480
V 0.3919 0.3015 0.8391
O 0.1777 0.4820 0.9090
V 0.1147 0.2035 0.3401
O 0.0150 0.1095 0.1521
O 0.4022 0.7573 0.0182
O 0.8047 0.5905 0.7205
Pb 0.6023 0.2126 0.3548
V 0.8853 0.7965 0.6599
O 0.6688 0.9658 0.6107
Th 0.0853 0.7261 0.1441

Summary:
ΔH_f (0 K) (eV/atom): -2.757
Electronic total energy (eV/atom): -7.7554
Relative energy among the computed polymorphs (eV/f.u.): 0.36